The following is a DFT calculation (GGA-PBE) of a geometry-optimized CsFe2As2 structure.

a b c (Å): 3.798 3.798 8.174
angles (deg): 103.43 103.43 90.00
Sites, in units of the cell vectors:
Fe (0.750, 0.250, 0.500)
Fe (0.250, 0.750, 0.500)
As (0.339, 0.339, 0.678)
Cs (0.000, 0.000, 0.000)
As (0.661, 0.661, 0.322)

Output
The value obtained for the formation energy is -1.3 eV/f.u. As for the space group: I4/mmm. The calculation puts the uncorrected energy at -5.695 eV per atom.

The following is a DFT calculation (GGA-PBE) of a geometry-optimized NaZn3H3S2O9 structure.

a b c (Å): 5.943 5.943 13.801
angles (deg): 90.00 90.00 120.00
Sites, in units of the cell vectors:
O (0.938, 0.518, 0.608)
O (0.667, 0.333, 0.299)
O (0.580, 0.518, 0.108)
O (0.088, 0.817, 0.895)
O (0.333, 0.667, 0.742)
H (0.667, 0.333, 0.870)
Na (0.333, 0.667, 0.990)
O (0.000, 0.000, 0.204)
Zn (0.332, 0.322, 0.754)
Zn (0.678, 0.668, 0.254)
H (0.333, 0.667, 0.171)
O (0.088, 0.271, 0.395)
H (0.000, 0.000, 0.633)
Zn (0.678, 0.010, 0.754)
H (0.333, 0.667, 0.671)
O (0.729, 0.912, 0.895)
O (0.667, 0.333, 0.799)
O (0.183, 0.912, 0.395)
O (0.000, 0.000, 0.704)
S (0.000, 0.000, 0.440)
O (0.482, 0.420, 0.608)
H (0.000, 0.000, 0.133)
O (0.482, 0.062, 0.108)
O (0.938, 0.420, 0.108)
O (0.333, 0.667, 0.242)
Na (0.333, 0.667, 0.490)
H (0.667, 0.333, 0.370)
Zn (0.990, 0.322, 0.254)
O (0.729, 0.817, 0.395)
S (0.667, 0.333, 0.564)
S (0.667, 0.333, 0.064)
Zn (0.332, 0.010, 0.254)
S (0.000, 0.000, 0.940)
Zn (0.990, 0.668, 0.754)
O (0.580, 0.062, 0.608)
O (0.183, 0.271, 0.895)

Output
The energy with MP2020 corrections is -5.460 eV per atom. The value obtained for the formation energy is -30.2 eV/f.u. As for the space group: P3c1. The calculation puts the uncorrected energy at -5.117 eV per atom.

The following is a DFT calculation (GGA-PBE) of a geometry-optimized Sr3Hg structure.

a b c (Å): 5.513 5.513 5.513
angles (deg): 90.00 90.00 90.00
Sites, in units of the cell vectors:
Sr (0.000, 0.500, 0.500)
Sr (0.500, 0.000, 0.500)
Hg (0.000, 0.000, 0.000)
Sr (0.500, 0.500, 0.000)

Output
The value obtained for the formation energy is -0.5 eV/f.u. As for the space group: Pm-3m. The calculation puts the uncorrected energy at -1.458 eV per atom.

The following is a DFT calculation (GGA-PBE) of a geometry-optimized HoSO structure.

a b c (Å): 6.845 6.845 5.649
angles (deg): 90.00 90.00 131.19
Sites, in units of the cell vectors:
Ho (0.836, 0.164, 0.500)
S (0.631, 0.631, 0.368)
O (0.493, 0.993, 0.750)
Ho (0.664, 0.336, 0.000)
S (0.369, 0.369, 0.632)
O (0.507, 0.007, 0.250)
O (0.007, 0.507, 0.250)
O (0.993, 0.493, 0.750)
Ho (0.164, 0.836, 0.500)
S (0.869, 0.869, 0.868)
Ho (0.336, 0.664, 0.000)
S (0.131, 0.131, 0.132)

Output
The energy with MP2020 corrections is -7.589 eV per atom. The value obtained for the formation energy is -9.1 eV/f.u. As for the space group: Cmce. The calculation puts the uncorrected energy at -7.193 eV per atom.

The following is a DFT calculation (GGA-PBE) of a geometry-optimized CeTh4O10 structure.

a b c (Å): 14.248 14.248 14.248
angles (deg): 164.05 164.05 22.63
Sites, in units of the cell vectors:
O (0.750, 0.250, 0.500)
O (0.549, 0.049, 0.500)
O (0.951, 0.451, 0.500)
O (0.149, 0.649, 0.500)
O (0.049, 0.549, 0.500)
Th (0.200, 0.200, 0.000)
O (0.649, 0.149, 0.500)
O (0.451, 0.951, 0.500)
O (0.250, 0.750, 0.500)
Th (0.599, 0.599, 0.000)
Ce (0.000, 0.000, 0.000)
O (0.851, 0.351, 0.500)
Th (0.800, 0.800, 0.000)
O (0.351, 0.851, 0.500)
Th (0.401, 0.401, 0.000)

Output
The energy with MP2020 corrections is -9.951 eV per atom. The value obtained for the formation energy is -64.2 eV/f.u. As for the space group: I4/mmm. The calculation puts the uncorrected energy at -9.493 eV per atom.

The following is a DFT calculation (GGA-PBE) of a geometry-optimized Dy2Ga3Ni structure.

a b c (Å): 4.291 4.291 7.512
angles (deg): 90.00 90.00 120.00
Sites, in units of the cell vectors:
Dy (0.667, 0.333, 0.774)
Ni (0.000, 0.000, 0.971)
Ga (0.000, 0.000, 0.542)
Ga (0.333, 0.667, 0.015)
Dy (0.667, 0.333, 0.236)
Ga (0.333, 0.667, 0.461)

Output
The value obtained for the formation energy is -3.7 eV/f.u. As for the space group: P3m1. The calculation puts the uncorrected energy at -4.637 eV per atom.

The following is a DFT calculation (GGA-PBE) of a geometry-optimized GdGa3 structure.

a b c (Å): 6.317 6.317 4.593
angles (deg): 90.00 90.00 120.00
Sites, in units of the cell vectors:
Ga (0.853, 0.705, 0.750)
Ga (0.147, 0.853, 0.250)
Ga (0.295, 0.147, 0.750)
Gd (0.333, 0.667, 0.750)
Ga (0.853, 0.147, 0.750)
Ga (0.147, 0.295, 0.250)
Gd (0.667, 0.333, 0.250)
Ga (0.705, 0.853, 0.250)

Output
The value obtained for the formation energy is -2.2 eV/f.u. As for the space group: P6_3/mmc. The calculation puts the uncorrected energy at -6.339 eV per atom.

The following is a DFT calculation (GGA-PBE) of a geometry-optimized MgSi2 structure.

a b c (Å): 3.794 4.656 13.154
angles (deg): 85.94 85.46 67.34
Sites, in units of the cell vectors:
Mg (0.195, 0.807, 0.951)
Si (0.668, 0.069, 0.608)
Si (0.004, 0.427, 0.572)
Mg (0.553, 0.977, 0.125)
Si (0.516, 0.905, 0.444)
Si (0.239, 0.548, 0.203)
Si (0.865, 0.405, 0.040)
Mg (0.332, 0.668, 0.706)
Si (0.607, 0.062, 0.803)
Si (0.922, 0.410, 0.848)
Si (0.196, 0.558, 0.400)
Mg (0.902, 0.165, 0.299)

Output
The energy with MP2020 corrections is -3.923 eV per atom. The value obtained for the formation energy is 0.7 eV/f.u. As for the space group: P1. The calculation puts the uncorrected energy at -3.970 eV per atom.

The following is a DFT calculation (GGA-PBE) of a geometry-optimized AgCO2 structure.

a b c (Å): 5.946 4.010 9.977
angles (deg): 70.87 90.00 90.00
Sites, in units of the cell vectors:
O (0.673, 0.174, 0.616)
O (0.710, 0.466, 0.380)
Ag (0.993, 0.855, 0.651)
Ag (0.007, 0.145, 0.349)
O (0.827, 0.174, 0.116)
Ag (0.493, 0.145, 0.849)
O (0.173, 0.826, 0.884)
O (0.290, 0.534, 0.620)
O (0.790, 0.466, 0.880)
C (0.611, 0.396, 0.499)
O (0.210, 0.534, 0.120)
C (0.889, 0.396, 0.999)
C (0.389, 0.604, 0.501)
Ag (0.507, 0.855, 0.151)
O (0.327, 0.826, 0.384)
C (0.111, 0.604, 0.001)

Output
The energy with MP2020 corrections is -6.598 eV per atom. The value obtained for the formation energy is -4.4 eV/f.u. As for the space group: P2_1/c. The calculation puts the uncorrected energy at -6.254 eV per atom.

The following is a DFT calculation (GGA-PBE) of a geometry-optimized CeSe2 structure.

a b c (Å): 7.134 12.130 14.478
angles (deg): 90.00 90.00 90.00
Sites, in units of the cell vectors:
Se (0.000, 0.250, 0.292)
Se (0.000, 0.000, 0.000)
Ce (0.235, 0.882, 0.111)
Ce (0.235, 0.118, 0.389)
Ce (0.765, 0.118, 0.889)
Ce (0.235, 0.618, 0.611)
Se (0.500, 0.250, 0.968)
Se (0.000, 0.250, 0.792)
Se (0.000, 0.500, 0.000)
Se (0.000, 0.500, 0.500)
Ce (0.765, 0.882, 0.611)
Se (0.601, 0.000, 0.750)
Se (0.500, 0.750, 0.032)
Ce (0.235, 0.382, 0.889)
Se (0.000, 0.000, 0.500)
Se (0.000, 0.750, 0.708)
Se (0.601, 0.500, 0.250)
Se (0.500, 0.750, 0.532)
Se (0.500, 0.250, 0.468)
Ce (0.765, 0.382, 0.389)
Ce (0.765, 0.618, 0.111)
Se (0.000, 0.750, 0.208)
Se (0.399, 0.500, 0.750)
Se (0.399, 0.000, 0.250)

Output
The energy with MP2020 corrections is -5.710 eV per atom. The value obtained for the formation energy is -4.2 eV/f.u. As for the space group: Pcca. The calculation puts the uncorrected energy at -5.396 eV per atom.

The following is a DFT calculation (GGA-PBE) of a geometry-optimized Pb structure.

a b c (Å): 3.548 3.548 5.841
angles (deg): 90.00 90.00 120.00
Sites, in units of the cell vectors:
Pb (0.333, 0.667, 0.250)
Pb (0.667, 0.333, 0.750)

Output
The value obtained for the formation energy is 0.0 eV/f.u. As for the space group: P6_3/mmc. The calculation puts the uncorrected energy at -3.698 eV per atom.

The following is a DFT calculation (GGA-PBE) of a geometry-optimized Re3F structure.

a b c (Å): 4.319 4.319 4.319
angles (deg): 60.00 60.00 60.00
Sites, in units of the cell vectors:
Re (0.500, 0.500, 0.500)
Re (0.250, 0.250, 0.250)
F (0.000, 0.000, 0.000)
Re (0.750, 0.750, 0.750)

Output
The energy with MP2020 corrections is -9.541 eV per atom. The value obtained for the formation energy is 1.1 eV/f.u. As for the space group: Fm-3m. The calculation puts the uncorrected energy at -9.426 eV per atom.

The following is a DFT calculation (GGA-PBE) of a geometry-optimized Mn2InCu4Sn structure.

a b c (Å): 7.604 7.604 7.604
angles (deg): 33.53 33.53 33.53
Sites, in units of the cell vectors:
In (0.000, 0.000, 0.000)
Cu (0.375, 0.375, 0.375)
Cu (0.875, 0.875, 0.875)
Cu (0.125, 0.125, 0.125)
Sn (0.500, 0.500, 0.500)
Cu (0.625, 0.625, 0.625)
Mn (0.750, 0.750, 0.750)
Mn (0.250, 0.250, 0.250)

Output
The value obtained for the formation energy is 0.6 eV/f.u. As for the space group: R-3m. The calculation puts the uncorrected energy at -5.106 eV per atom.

The following is a DFT calculation (GGA-PBE) of a geometry-optimized Sm2O3 structure.

a b c (Å): 9.526 9.526 9.526
angles (deg): 109.47 109.47 109.47
Sites, in units of the cell vectors:
O (0.029, 0.041, 0.270)
Sm (0.750, 0.969, 0.219)
O (0.729, 0.241, 0.770)
Sm (0.031, 0.781, 0.250)
Sm (0.250, 0.031, 0.781)
O (0.730, 0.971, 0.959)
Sm (0.000, 0.000, 0.000)
Sm (0.281, 0.250, 0.531)
O (0.541, 0.512, 0.771)
O (0.471, 0.741, 0.012)
O (0.270, 0.029, 0.041)
Sm (0.969, 0.219, 0.750)
Sm (0.531, 0.281, 0.250)
Sm (0.219, 0.750, 0.969)
O (0.041, 0.270, 0.029)
O (0.230, 0.271, 0.759)
Sm (0.781, 0.250, 0.031)
O (0.759, 0.230, 0.271)
O (0.971, 0.959, 0.730)
O (0.771, 0.541, 0.512)
Sm (0.469, 0.719, 0.750)
O (0.488, 0.229, 0.459)
Sm (0.750, 0.469, 0.719)
O (0.988, 0.529, 0.259)
O (0.512, 0.771, 0.541)
O (0.770, 0.729, 0.241)
O (0.741, 0.012, 0.471)
Sm (0.500, 0.500, 0.000)
Sm (0.719, 0.750, 0.469)
O (0.271, 0.759, 0.230)
O (0.959, 0.730, 0.971)
O (0.259, 0.988, 0.529)
O (0.459, 0.488, 0.229)
Sm (0.000, 0.500, 0.500)
O (0.529, 0.259, 0.988)
Sm (0.250, 0.531, 0.281)
O (0.241, 0.770, 0.729)
O (0.229, 0.459, 0.488)
Sm (0.500, 0.000, 0.500)
O (0.012, 0.471, 0.741)

Output
The energy with MP2020 corrections is -8.718 eV per atom. The value obtained for the formation energy is -19.3 eV/f.u. As for the space group: Ia-3. The calculation puts the uncorrected energy at -8.306 eV per atom.

The following is a DFT calculation (GGA-PBE) of a geometry-optimized HfMg14SiO16 structure.

a b c (Å): 8.681 8.681 4.343
angles (deg): 90.00 90.00 90.00
Sites, in units of the cell vectors:
Si (0.000, 0.000, 0.000)
O (0.000, 0.000, 0.500)
Mg (0.245, 0.500, 0.500)
Mg (0.754, 0.754, 0.000)
O (0.752, 0.248, 0.500)
O (0.500, 0.754, 0.000)
Mg (0.754, 0.246, 0.000)
O (0.754, 0.500, 0.000)
O (0.248, 0.752, 0.500)
Mg (0.500, 0.000, 0.000)
O (0.500, 0.000, 0.500)
O (0.500, 0.246, 0.000)
O (0.248, 0.248, 0.500)
Mg (0.500, 0.755, 0.500)
Mg (0.000, 0.500, 0.000)
Mg (0.252, 0.000, 0.500)
Mg (0.000, 0.252, 0.500)
Hf (0.500, 0.500, 0.000)
Mg (0.755, 0.500, 0.500)
Mg (0.246, 0.754, 0.000)
O (0.000, 0.261, 0.000)
Mg (0.000, 0.748, 0.500)
O (0.261, 0.000, 0.000)
Mg (0.500, 0.245, 0.500)
O (0.000, 0.500, 0.500)
O (0.752, 0.752, 0.500)
O (0.246, 0.500, 0.000)
O (0.000, 0.739, 0.000)
Mg (0.748, 0.000, 0.500)
Mg (0.246, 0.246, 0.000)
O (0.739, 0.000, 0.000)
O (0.500, 0.500, 0.500)

Output
The energy with MP2020 corrections is -6.426 eV per atom. The value obtained for the formation energy is -88.7 eV/f.u. As for the space group: P4/mmm. The calculation puts the uncorrected energy at -6.083 eV per atom.

The following is a DFT calculation (GGA-PBE) of a geometry-optimized K2TiZnO4 structure.

a b c (Å): 5.750 11.512 16.205
angles (deg): 90.00 90.00 90.00
Sites, in units of the cell vectors:
Ti (0.476, 0.986, 0.874)
Zn (0.022, 0.482, 0.995)
O (0.906, 0.679, 0.531)
O (0.689, 0.514, 0.969)
K (0.489, 0.508, 0.626)
O (0.264, 0.190, 0.182)
K (0.511, 0.492, 0.126)
O (0.882, 0.405, 0.582)
Zn (0.978, 0.518, 0.495)
K (0.982, 0.503, 0.244)
O (0.383, 0.415, 0.291)
O (0.414, 0.665, 0.345)
Zn (0.509, 0.264, 0.250)
K (0.489, 0.992, 0.126)
O (0.617, 0.585, 0.791)
O (0.264, 0.310, 0.682)
O (0.787, 0.012, 0.894)
O (0.213, 0.512, 0.894)
O (0.311, 0.486, 0.469)
O (0.787, 0.304, 0.182)
K (0.533, 0.234, 0.000)
K (0.018, 0.003, 0.244)
K (0.467, 0.766, 0.500)
O (0.213, 0.696, 0.682)
Ti (0.476, 0.514, 0.374)
O (0.213, 0.804, 0.182)
O (0.787, 0.196, 0.682)
Ti (0.009, 0.231, 0.120)
Ti (0.009, 0.269, 0.620)
O (0.118, 0.595, 0.082)
O (0.882, 0.095, 0.082)
O (0.118, 0.905, 0.582)
O (0.414, 0.835, 0.845)
Zn (0.022, 0.018, 0.495)
Zn (0.978, 0.982, 0.995)
K (0.018, 0.497, 0.744)
Ti (0.524, 0.014, 0.374)
O (0.213, 0.988, 0.394)
O (0.617, 0.915, 0.291)
K (0.511, 0.008, 0.626)
Ti (0.991, 0.731, 0.120)
K (0.467, 0.734, 0.000)
O (0.311, 0.014, 0.969)
Zn (0.491, 0.764, 0.250)
K (0.969, 0.728, 0.870)
K (0.969, 0.772, 0.370)
O (0.906, 0.821, 0.031)
K (0.533, 0.266, 0.500)
K (0.031, 0.228, 0.870)
Zn (0.509, 0.236, 0.750)
O (0.736, 0.810, 0.682)
K (0.031, 0.272, 0.370)
O (0.586, 0.165, 0.345)
O (0.787, 0.488, 0.394)
O (0.586, 0.335, 0.845)
O (0.383, 0.085, 0.791)
O (0.094, 0.179, 0.531)
Ti (0.524, 0.486, 0.874)
O (0.736, 0.690, 0.182)
Zn (0.491, 0.736, 0.750)
O (0.094, 0.321, 0.031)
O (0.689, 0.986, 0.469)
K (0.982, 0.997, 0.744)
Ti (0.991, 0.769, 0.620)

Output
The energy with MP2020 corrections is -6.424 eV per atom. The value obtained for the formation energy is -20.2 eV/f.u. As for the space group: Pca2_1. The calculation puts the uncorrected energy at -6.081 eV per atom.

| no. | density (g/cm³) | V (Å³/atom) |
| --- | --- | --- |
| 1 | 5.88 | 22.28 |
| 2 | 3.39 | 11.73 |
| 3 | 4.59 | 41.89 |
| 4 | 7.10 | 16.60 |
| 5 | 9.34 | 14.56 |
| 6 | 8.22 | 19.96 |
| 7 | 7.67 | 19.84 |
| 8 | 2.50 | 17.79 |
| 9 | 4.49 | 14.05 |
| 10 | 3.16 | 52.21 |
| 11 | 10.80 | 31.85 |
| 12 | 16.84 | 14.24 |
| 13 | 8.31 | 14.93 |
| 14 | 6.96 | 16.64 |
| 15 | 4.07 | 10.23 |
| 16 | 3.16 | 16.76 |